DFT (GGA-PBE) results for a relaxed Pb7Cl2F12 crystal.

Computed properties:
As for the formation energy: -2458 meV/atom. The crystal system is hexagonal. As for the space group: P-6.

Cell and atoms, written as POSCAR:
```
Pb7Cl2F12
1.0
10.4416 0.0000 0.0000
-5.2208 9.0427 0.0000
0.0000 0.0000 4.0350
Pb Cl F
7 2 12
Direct
0.0000 0.0000 0.0000
0.1052 0.4256 0.0000
0.3204 0.8948 0.0000
0.3941 0.2784 0.5000
0.5744 0.6796 0.0000
0.7216 0.1158 0.5000
0.8842 0.6059 0.5000
0.3333 0.6667 0.5000
0.6667 0.3333 0.0000
0.0495 0.6287 0.0000
0.0690 0.8652 0.5000
0.1348 0.2038 0.5000
0.2772 0.1018 0.0000
0.3713 0.4208 0.0000
0.4336 0.0326 0.5000
0.5792 0.9505 0.0000
0.5990 0.5664 0.5000
0.7962 0.9310 0.5000
0.8246 0.7228 0.0000
0.8982 0.1754 0.0000
0.9674 0.4010 0.5000
```

DFT (GGA-PBE) results for a relaxed Pb2Cl2F crystal.

Computed properties:
As for the formation energy: -764 meV/atom. The crystal system is tetragonal. As for the space group: P4/mmm. The calculation puts the size of the total moment at 0.00 μB/f.u.

Cell and atoms, written as POSCAR:
```
Pb2Cl2F
1.0
3.5432 0.0000 0.0000
0.0000 3.5432 0.0000
0.0000 0.0000 13.9220
Pb Cl F
2 2 1
Direct
0.0000 0.0000 0.1716
0.0000 0.0000 0.8284
0.0000 0.0000 0.3532
0.0000 0.0000 0.6468
0.0000 0.0000 0.0000
```

DFT (GGA-PBE) results for a relaxed Rb2SbCl3F2 crystal.

Computed properties:
As for the formation energy: -2063 meV/atom. The crystal system is triclinic. As for the space group: P-1. The calculation puts the size of the total moment at 0.00 μB/f.u.

Cell and atoms, written as POSCAR:
```
Rb2SbCl3F2
1.0
7.6372 0.0000 0.0000
3.7420 6.6654 0.0000
2.5787 0.0108 13.1560
Rb Sb Cl F
6 3 9 6
Direct
0.0648 0.1625 0.3070
0.1943 0.1683 0.9105
0.3989 0.4999 0.3167
0.6011 0.5001 0.6833
0.8057 0.8317 0.0895
0.9352 0.8375 0.6930
0.2996 0.1652 0.6020
0.5000 0.5000 0.0000
0.7004 0.8348 0.3980
0.0000 0.5000 0.5000
0.2153 0.7143 0.8835
0.2416 0.3942 0.1176
0.3142 0.8180 0.5017
0.3543 0.8248 0.1157
0.6457 0.1752 0.8843
0.6858 0.1820 0.4983
0.7584 0.6058 0.8824
0.7847 0.2857 0.1165
0.0629 0.1628 0.6951
0.2692 0.3737 0.6933
0.4825 0.9553 0.6915
0.5175 0.0447 0.3085
0.7308 0.6263 0.3067
0.9371 0.8372 0.3049
```